No. 1
Entry from Materials Project: an optimized crystal structure of Pr3Fe5O12 (PBE with a Hubbard U).

Calculated values
- space group = Ia-3d, No. 230

Geometry as extended XYZ:
```
80
Lattice="-6.407 6.407 6.407 6.407 -6.407 6.407 6.407 6.407 -6.407" Properties=species:S:1:pos:R:3 pbc="T T T"
O 3.577 1.290 2.508
O 0.696 1.913 -0.374
O 2.830 5.117 3.899
O 7.103 4.494 0.374
O 0.374 5.712 1.913
O 2.830 7.698 2.508
O -0.374 0.696 1.913
O 2.508 3.577 1.290
O 6.781 5.712 4.494
O 0.696 8.320 0.374
O 1.913 0.374 5.712
O 5.712 -1.913 6.033
O 9.985 -1.290 2.508
O 1.913 -0.374 0.696
O 7.698 2.508 2.830
O 0.374 0.696 8.320
O -1.290 2.508 9.985
O -1.290 3.899 3.577
O 8.915 2.830 -1.290
O 8.320 0.374 0.696
O 5.712 4.494 6.781
O 5.712 1.913 0.374
O 4.494 0.374 7.103
O 6.033 -0.696 1.913
O 3.899 -3.577 7.698
O 4.494 6.033 0.696
O 6.033 5.712 -1.913
O 3.577 7.698 -2.508
O 6.033 0.696 4.494
O -1.290 8.915 2.830
O 5.117 3.899 2.830
O 2.830 -1.290 8.915
O 0.374 7.103 4.494
O -3.577 7.698 3.899
O 2.508 9.985 -1.290
O -0.696 1.913 6.033
O 3.899 3.577 -1.290
O 2.508 2.830 7.698
O 7.698 3.899 -3.577
O -1.913 6.033 5.712
O -2.508 3.577 7.698
O 1.290 2.508 3.577
O 0.696 4.494 6.033
O 7.698 -2.508 3.577
O 1.913 6.033 -0.696
O 3.577 -1.290 3.899
O 4.494 6.781 5.712
O 3.899 2.830 5.117
Fe 0.000 0.000 6.407
Fe 0.000 3.204 4.805
Fe 3.204 4.805 0.000
Fe 1.602 6.407 3.204
Fe 1.602 0.000 9.611
Fe 6.407 0.000 0.000
Fe 6.407 -3.204 4.805
Fe -3.204 3.204 3.204
Fe 3.204 1.602 6.407
Fe 3.204 -3.204 3.204
Fe 3.204 3.204 -3.204
Fe 0.000 0.000 0.000
Fe -3.204 4.805 6.407
Fe 0.000 9.611 1.602
Fe 4.805 0.000 3.204
Fe 0.000 6.407 0.000
Fe 3.204 3.204 3.204
Fe 9.611 1.602 0.000
Fe 4.805 6.407 -3.204
Fe 6.407 3.204 1.602
Pr 6.407 3.204 -1.602
Pr 3.204 1.602 0.000
Pr 8.009 0.000 3.204
Pr 6.407 3.204 4.805
Pr 0.000 3.204 1.602
Pr 3.204 -1.602 6.407
Pr 4.805 6.407 3.204
Pr -1.602 6.407 3.204
Pr 1.602 0.000 3.204
Pr 3.204 4.805 6.407
Pr 3.204 8.009 0.000
Pr 0.000 3.204 8.009
```

---

No. 2
Entry from Materials Project: an optimized crystal structure of Pr3Sc2Fe3O12 (PBE with a Hubbard U).

Calculated values
- space group = Ia-3d, No. 230

Geometry as extended XYZ:
```
80
Lattice="-6.477 6.477 6.477 6.477 -6.477 6.477 6.477 6.477 -6.477" Properties=species:S:1:pos:R:3 pbc="T T T"
O 2.521 3.621 1.267
O 2.856 -1.267 8.998
O 2.856 5.211 3.956
O 8.998 2.856 -1.267
O 5.760 -1.972 6.095
O 6.860 5.760 4.505
O -2.521 3.621 7.744
O 8.449 0.383 0.718
O 1.972 0.383 5.760
O 0.718 1.972 -0.383
O 0.383 0.718 8.449
O 7.195 4.505 0.383
O -0.383 0.718 1.972
O 6.095 -0.718 1.972
O 2.856 7.744 2.521
O 3.956 2.856 5.211
O 1.972 6.095 -0.718
O 5.760 4.505 6.860
O 4.505 0.383 7.195
O 0.383 5.760 1.972
O 7.744 2.521 2.856
O 1.267 2.521 3.621
O 4.505 6.860 5.760
O 2.521 2.856 7.744
O 0.718 4.505 6.095
O 7.744 -2.521 3.621
O 3.621 -1.267 3.956
O 7.744 3.956 -3.621
O 0.383 7.195 4.505
O 3.621 7.744 -2.521
O 2.521 10.098 -1.267
O 3.956 -3.621 7.744
O 4.505 6.095 0.718
O 0.718 8.449 0.383
O -1.267 8.998 2.856
O -0.718 1.972 6.095
O -1.267 3.956 3.621
O 3.956 3.621 -1.267
O 10.098 -1.267 2.521
O 3.621 1.267 2.521
O 1.972 -0.383 0.718
O 5.211 3.956 2.856
O 6.095 0.718 4.505
O 6.095 5.760 -1.972
O -1.267 2.521 10.098
O -3.621 7.744 3.956
O -1.972 6.095 5.760
O 5.760 1.972 0.383
Pr 8.097 0.000 3.239
Pr 3.239 8.097 0.000
Pr 1.619 0.000 3.239
Pr 0.000 3.239 8.097
Pr 3.239 -1.619 6.477
Pr 6.477 3.239 4.858
Pr 0.000 3.239 1.619
Pr 4.858 6.477 3.239
Pr 3.239 1.619 0.000
Pr 3.239 4.858 6.477
Pr -1.619 6.477 3.239
Pr 6.477 3.239 -1.619
Sc -3.239 3.239 3.239
Sc 3.239 -3.239 3.239
Sc 0.000 6.477 0.000
Sc 0.000 0.000 0.000
Sc 0.000 0.000 6.477
Sc 3.239 3.239 -3.239
Sc 6.477 0.000 0.000
Sc 3.239 3.239 3.239
Fe 3.239 1.619 6.477
Fe 9.716 1.619 0.000
Fe 6.477 3.239 1.619
Fe 0.000 9.716 1.619
Fe 0.000 3.239 4.858
Fe 3.239 4.858 0.000
Fe 4.858 6.477 -3.239
Fe 4.858 0.000 3.239
Fe 1.619 6.477 3.239
Fe 6.477 -3.239 4.858
Fe 1.619 0.000 9.716
Fe -3.239 4.858 6.477
```

---

No. 3
Entry from Materials Project: an optimized crystal structure of SrPrFe2O6 (PBE with a Hubbard U).

Calculated values
- space group = Pmn2_1, No. 31

Geometry as extended XYZ:
```
20
Lattice="-5.249 0.747 1.638 -1.330 -5.059 -1.954 1.728 -3.148 6.974" Properties=species:S:1:pos:R:3 pbc="T T T"
O -4.067 0.166 1.082
O -3.207 -4.158 0.827
O -4.710 -5.406 5.673
O -1.193 -4.319 2.758
O -4.258 -5.811 2.843
O -2.227 -5.944 4.783
O 0.796 -3.349 4.580
O 0.061 -2.009 1.613
O -5.702 -3.597 1.666
O -1.785 -3.187 5.325
O -1.979 -2.060 -0.440
O -2.533 -1.825 2.306
Fe -0.666 -4.709 4.655
Fe -2.658 -1.803 6.465
Fe -3.523 -0.227 2.974
Fe -1.529 -3.136 1.171
Sr -3.804 -3.528 3.761
Sr -2.573 -4.876 -1.564
Pr -4.471 -2.048 0.183
Pr -0.609 -1.424 3.920
```

---

No. 4
Entry from Materials Project: an optimized crystal structure of Rb5FeO4 (PBE with a Hubbard U).

Calculated values
- space group = P2_1/c, No. 14

Geometry as extended XYZ:
```
40
Lattice="12.206 0.000 0.000 0.000 7.125 0.000 0.000 1.519 10.957" Properties=species:S:1:pos:R:3 pbc="T T T"
O 7.567 6.095 8.329
O 5.677 3.589 8.002
O 10.985 5.879 4.326
O 4.882 6.328 6.631
O 1.221 2.765 6.631
O 6.529 5.055 2.955
O 4.639 2.549 2.628
O 10.811 6.187 1.169
O 7.324 2.316 4.326
O 0.426 7.151 8.002
O 4.708 6.020 9.788
O 11.780 1.492 2.955
O 1.394 2.457 9.788
O 1.464 6.111 2.628
O 7.497 2.624 1.169
O 10.742 2.532 8.329
Fe 11.805 6.684 2.775
Fe 6.503 3.121 2.775
Fe 5.703 5.523 8.183
Fe 0.400 1.960 8.183
Rb 3.952 4.980 1.633
Rb 0.954 6.997 10.840
Rb 10.561 1.310 5.538
Rb 9.716 3.955 2.586
Rb 7.748 4.872 5.538
Rb 10.054 7.227 9.324
Rb 8.254 3.664 9.324
Rb 5.265 7.331 4.034
Rb 5.149 3.434 10.840
Rb 7.057 5.210 0.117
Rb 11.252 1.647 0.117
Rb 2.489 4.689 8.372
Rb 3.613 8.252 8.372
Rb 11.368 4.875 6.923
Rb 2.151 1.417 1.633
Rb 1.645 7.334 5.419
Rb 0.838 3.768 4.034
Rb 6.941 1.313 6.923
Rb 4.458 3.772 5.419
Rb 8.592 0.392 2.586
```

---

No. 5
Entry from Materials Project: an optimized crystal structure of Rb5FeO4 (PBE with a Hubbard U).

Calculated values
- space group = Pbca, No. 61

Geometry as extended XYZ:
```
80
Lattice="7.110 0.000 0.000 0.000 12.198 0.000 0.000 0.000 21.623" Properties=species:S:1:pos:R:3 pbc="T T T"
O 1.769 10.760 8.062
O 5.324 7.537 8.062
O 4.232 0.523 8.259
O 5.616 4.761 20.452
O 5.281 4.768 6.490
O 5.341 7.537 18.873
O 5.049 10.859 1.171
O 2.061 1.338 20.452
O 1.786 4.661 13.561
O 5.049 4.761 9.640
O 1.829 7.429 15.133
O 5.384 4.768 17.301
O 2.061 7.437 11.983
O 1.726 1.331 6.490
O 5.324 1.438 2.750
O 1.726 7.429 4.322
O 1.769 4.661 2.750
O 0.677 11.675 2.552
O 1.786 10.760 18.873
O 6.433 6.622 13.364
O 6.433 0.523 19.071
O 1.494 1.338 9.640
O 5.341 1.438 13.561
O 2.878 11.675 13.364
O 4.232 6.622 2.552
O 5.616 10.859 11.983
O 5.281 10.867 4.322
O 5.384 10.867 15.133
O 0.677 5.576 8.259
O 2.878 5.576 19.071
O 1.494 7.437 1.171
O 1.829 1.331 17.301
Rb 4.264 4.015 3.729
Rb 2.846 8.182 17.894
Rb 4.307 7.090 5.394
Rb 0.752 5.107 5.417
Rb 4.042 2.501 18.667
Rb 3.021 4.336 21.603
Rb 6.401 4.015 14.540
Rb 6.401 10.114 17.894
Rb 6.358 0.991 16.229
Rb 3.068 3.598 7.856
Rb 2.977 0.735 1.423
Rb 6.576 7.862 10.831
Rb 0.578 6.834 20.200
Rb 6.532 11.463 9.389
Rb 4.133 11.463 20.200
Rb 6.576 1.763 21.603
Rb 6.358 7.090 16.206
Rb 2.977 6.834 9.389
Rb 4.307 0.991 5.417
Rb 3.068 9.697 2.956
Rb 2.803 11.206 16.206
Rb 0.487 3.598 18.667
Rb 0.578 0.735 12.234
Rb 0.709 8.182 7.083
Rb 4.264 10.114 7.083
Rb 0.487 9.697 13.767
Rb 4.089 7.862 0.020
Rb 0.709 2.084 3.729
Rb 2.803 5.107 16.229
Rb 2.846 2.084 14.540
Rb 6.623 2.501 7.856
Rb 6.532 5.364 1.423
Rb 4.042 8.600 13.767
Rb 3.021 10.435 10.831
Rb 4.089 1.763 10.792
Rb 4.133 5.364 12.234
Rb 0.752 11.206 5.394
Rb 0.534 10.435 0.020
Rb 6.623 8.600 2.956
Rb 0.534 4.336 10.792
Fe 5.845 11.772 2.698
Fe 1.265 0.426 18.925
Fe 2.290 6.525 2.698
Fe 5.845 5.673 8.113
Fe 4.820 11.772 13.510
Fe 1.265 6.525 13.510
Fe 2.290 0.426 8.113
Fe 4.820 5.673 18.925
```

---

No. 6
Entry from Materials Project: an optimized crystal structure of RbFeO3 (PBE with a Hubbard U).

Calculated values
- space group = Pm-3m, No. 221

Geometry as extended XYZ:
```
5
Lattice="-3.836 1.237 0.350 0.278 -0.278 4.026 1.255 3.842 0.179" Properties=species:S:1:pos:R:3 pbc="T T T"
Fe -1.151 2.400 2.278
O -1.290 2.539 0.265
O -1.779 0.479 2.188
O 0.766 1.782 2.103
Rb 0.000 0.000 0.000
```

---

No. 7
Entry from Materials Project: an optimized crystal structure of Rb5FeO4 (PBE with a Hubbard U).

Geometry as extended XYZ:
```
40
Lattice="0.000 8.064 6.658 0.000 -8.064 6.658 8.851 0.000 6.658" Properties=species:S:1:pos:R:3 pbc="T T T"
Rb 3.905 -4.123 11.570
Rb 2.213 -2.016 7.644
Rb 8.330 4.123 15.062
Rb 3.905 0.091 4.912
Rb 0.520 -4.123 4.912
Rb 0.520 3.941 4.912
Rb 8.330 -0.091 15.062
Rb 3.905 0.091 11.570
Rb 4.946 -0.091 8.404
Rb 0.521 0.091 11.570
Rb 8.330 -3.941 15.062
Rb 4.946 -3.941 8.404
Rb 0.520 0.091 4.912
Rb 8.330 -0.091 8.404
Rb 2.213 6.048 7.644
Rb 6.638 2.016 12.330
Rb 6.638 -6.048 12.330
Rb 4.946 -0.091 15.062
Rb 4.946 4.123 8.404
Rb 3.905 3.941 11.570
O 2.213 0.370 9.102
O 2.213 0.370 2.444
O 6.638 -3.662 10.872
O 0.562 2.016 6.974
O 3.863 2.016 6.974
O 2.213 3.662 9.102
O 6.638 4.402 10.872
O 6.638 -0.370 17.530
O 8.289 -2.016 13.000
O 4.988 -2.016 13.000
O 3.863 2.016 13.632
O 6.638 -0.370 10.872
O 0.562 -6.048 6.974
O 8.289 6.048 13.000
O 4.988 -2.016 6.342
O 2.213 -4.402 9.102
Fe 6.638 -2.016 11.930
Fe 6.638 6.048 11.930
Fe 2.213 2.016 8.044
Fe 2.213 -6.048 8.044
```

---

No. 8
Entry from Materials Project: an optimized crystal structure of Rb5FeO4 (PBE with a Hubbard U).

Calculated values
- space group = P2_1/c, No. 14

Geometry as extended XYZ:
```
40
Lattice="10.971 0.000 0.000 0.000 7.623 0.000 0.000 7.147 11.644" Properties=species:S:1:pos:R:3 pbc="T T T"
Rb 4.476 9.463 11.012
Rb 4.376 9.666 6.467
Rb 7.096 1.571 1.327
Rb 7.260 9.264 4.581
Rb 1.775 1.933 1.241
Rb 3.875 13.199 10.317
Rb 9.195 12.837 10.402
Rb 1.110 6.092 0.645
Rb 1.796 10.298 8.875
Rb 9.961 8.881 6.453
Rb 6.495 5.307 0.631
Rb 6.595 5.104 5.177
Rb 9.360 5.144 7.149
Rb 3.689 6.725 3.054
Rb 1.611 9.626 4.495
Rb 1.010 5.889 5.190
Rb 7.282 8.045 8.590
Rb 3.710 5.506 7.063
Rb 9.861 8.678 10.999
Rb 9.174 4.472 2.768
O 1.711 8.131 7.077
O 3.760 4.153 4.506
O 0.940 7.388 2.938
O 7.196 10.212 10.389
O 3.775 4.558 1.255
O 4.270 1.682 2.410
O 6.426 3.808 2.883
O 9.755 9.514 3.412
O 10.030 7.382 8.705
O 1.725 7.727 10.328
O 1.216 5.256 8.232
O 7.211 10.617 7.138
O 4.545 10.962 8.760
O 9.260 6.639 4.567
O 9.245 7.043 1.316
O 6.701 13.088 9.233
Fe 0.978 7.106 8.615
Fe 9.993 7.664 3.029
Fe 6.463 11.237 8.851
Fe 4.508 3.533 2.793
```

---

Number 1: electronic total energy -584.692 eV for the cell shown. Number 2: electronic total energy -633.671 eV for the cell shown. Number 3: electronic total energy -138.875 eV for the cell shown. Number 4: electronic total energy -171.579 eV for the cell shown. Number 5: electronic total energy -343.174 eV for the cell shown. Number 6: electronic total energy -25.800 eV for the cell shown. Number 7: electronic total energy -169.491 eV for the cell shown. Number 8: electronic total energy -169.677 eV for the cell shown.